No. 1
First-principles (PBE) data for a relaxed structure of Ta2Tl4Se11, as listed in the Materials Project database. Values from VASP.

Output
**Symmetry**: P-1
**ΔE_f**: -13.6 eV/f.u.

The structure in Quantum ESPRESSO input format:
```
&SYSTEM
  ibrav = 0, nat = 34, ntyp = 3
/
ATOMIC_SPECIES
Se 78.96 Se.upf
Ta 180.95 Ta.upf
Tl 204.38 Tl.upf
CELL_PARAMETERS angstrom
1.9995 -2.7609 -7.5510
6.1867 -5.5195 4.4315
-12.1477 -7.1659 -0.8085
ATOMIC_POSITIONS angstrom
Se -3.1819 -11.5851 -4.8671
Ta -4.4482 -9.4177 -5.5538
Se -9.9570 -9.0903 -6.0986
Se 2.4030 -6.6702 3.3864
Tl -10.3604 -8.4690 -0.0980
Se 5.9955 -6.3560 2.1706
Ta -7.8422 -8.2668 -5.1758
Se 0.7292 -9.9733 -4.6530
Se -5.3196 -7.1910 -4.3448
Se 1.3580 -8.2553 0.4169
Tl 6.3989 -6.9773 -3.8299
Tl -6.4076 -4.8241 -1.9469
Ta 3.8807 -7.1795 1.2479
Se -1.3662 -3.8198 -4.3707
Se 2.6193 -6.5320 -4.6561
Se -6.3645 -8.7761 -7.3144
Se -1.4598 -11.3714 -1.6517
Se -3.9280 -8.7423 -3.1308
Se -4.6907 -5.4730 0.7251
Tl -2.9811 -8.0264 0.3541
Se -0.7796 -3.8612 0.9392
Se -2.5953 -11.6265 0.4428
Tl -5.2915 -11.7983 -1.3078
Se 2.8537 -4.8197 0.6039
Ta 0.4867 -6.0286 1.6259
Se -0.0335 -6.7040 -0.7971
Se -6.5808 -8.9143 0.7281
Se -6.8152 -10.6266 -4.5318
Tl 1.3299 -3.6480 -2.6201
Se 3.9029 -6.1354 -1.1078
Se -7.8644 -9.3109 -2.8201
Tl 2.4461 -10.6222 -1.9810
Tl -0.9804 -7.4199 -4.2821
Se -2.5017 -4.0749 -2.2762
```

No. 2
First-principles (PBE) data for a relaxed structure of Ta3VSe6, as listed in the Materials Project database. Values from VASP.

Output
**Symmetry**: P6_322
**ΔE_f**: -11.1 eV/f.u.

The structure in Quantum ESPRESSO input format:
```
&SYSTEM
  ibrav = 0, nat = 20, ntyp = 3
/
ATOMIC_SPECIES
Ta 180.95 Ta.upf
Se 78.96 Se.upf
V 50.94 V.upf
CELL_PARAMETERS angstrom
3.0054 -5.2054 0.0000
3.0054 5.2054 0.0000
0.0000 0.0000 12.7981
ATOMIC_POSITIONS angstrom
Ta 3.0054 1.7352 6.4065
Se 1.0068 1.7282 11.1122
V 3.0054 -1.7352 9.5986
Ta 0.0000 0.0000 6.3990
Se 4.0106 -0.0078 1.6859
V 3.0054 1.7352 3.1995
Se 3.9986 -3.4694 1.6859
Se 2.0121 3.4694 8.0849
Se 2.0001 0.0078 8.0849
Se 1.0068 -1.7282 1.6859
Se 4.0106 0.0078 11.1122
Se 2.0121 -3.4694 4.7132
Se 5.0039 1.7282 8.0849
Ta 3.0054 -1.7352 6.3916
Ta 0.0000 0.0000 0.0000
Se 3.9986 3.4694 11.1122
Ta 3.0054 -1.7352 0.0074
Se 2.0001 -0.0078 4.7132
Ta 3.0054 1.7352 12.7906
Se 5.0039 -1.7282 4.7132
```

No. 3
First-principles (PBE) data for a relaxed structure of TbSe2, as listed in the Materials Project database. Values from VASP.

Output
**Symmetry**: P4/nmm
**ΔE_f**: -5.7 eV/f.u.

The structure in Quantum ESPRESSO input format:
```
&SYSTEM
  ibrav = 0, nat = 6, ntyp = 2
/
ATOMIC_SPECIES
Se 78.96 Se.upf
Tb 158.93 Tb.upf
CELL_PARAMETERS angstrom
-3.1290 0.4310 -2.5915
1.5166 -2.9945 -2.3292
-4.4033 -5.6364 4.3793
ATOMIC_POSITIONS angstrom
Se 0.0000 0.0000 0.0000
Se -0.8062 -1.2818 -2.4603
Se -3.1913 -1.8669 0.3222
Se -2.0182 -5.0512 1.5967
Tb -4.7611 -3.8763 1.8834
Tb -0.4484 -3.0419 0.0356
```

No. 4
First-principles (PBE) data for a relaxed structure of Tb3Se, as listed in the Materials Project database. Values from VASP.

Output
**Magnetization**: 0.01 μB/cell
**Symmetry**: Pm-3m
**ΔE_f**: -2.0 eV/f.u.

The structure in Quantum ESPRESSO input format:
```
&SYSTEM
  ibrav = 0, nat = 4, ntyp = 2
/
ATOMIC_SPECIES
Tb 158.93 Tb.upf
Se 78.96 Se.upf
CELL_PARAMETERS angstrom
4.6923 0.0000 0.0000
0.0000 4.6923 0.0000
0.0000 0.0000 4.6923
ATOMIC_POSITIONS angstrom
Tb 0.0000 2.3462 2.3462
Se 0.0000 0.0000 0.0000
Tb 2.3462 0.0000 2.3462
Tb 2.3462 2.3462 0.0000
```

No. 5
First-principles (PBE) data for a relaxed structure of TbSe3, as listed in the Materials Project database. Values from VASP.

Output
**Magnetization**: 2.00 μB/cell
**Symmetry**: Cmmm
**ΔE_f**: -1.2 eV/f.u.

The structure in Quantum ESPRESSO input format:
```
&SYSTEM
  ibrav = 0, nat = 4, ntyp = 2
/
ATOMIC_SPECIES
Se 78.96 Se.upf
Tb 158.93 Tb.upf
CELL_PARAMETERS angstrom
3.1301 -4.4476 0.0000
3.1301 4.4476 0.0000
0.0000 0.0000 13.7405
ATOMIC_POSITIONS angstrom
Se 0.0000 0.0000 6.8702
Se 1.5651 2.2238 0.0000
Se 1.5651 -2.2238 0.0000
Tb 0.0000 0.0000 0.0000
```

No. 6
First-principles (PBE) data for a relaxed structure of TbTlSe2, as listed in the Materials Project database. Values from VASP.

Output
**Symmetry**: R-3m
**ΔE_f**: -6.5 eV/f.u.

The structure in Quantum ESPRESSO input format:
```
&SYSTEM
  ibrav = 0, nat = 4, ntyp = 3
/
ATOMIC_SPECIES
Se 78.96 Se.upf
Tb 158.93 Tb.upf
Tl 204.38 Tl.upf
CELL_PARAMETERS angstrom
0.5611 2.1020 -3.5973
0.5611 -2.1020 -3.5973
-7.3135 0.0000 -3.5973
ATOMIC_POSITIONS angstrom
Se -4.9932 0.0000 -8.1484
Tb 0.0000 0.0000 0.0000
Se -1.1981 0.0000 -2.6434
Tl -3.0957 0.0000 -5.3959
```

Computed raw total energy (eV per cell) in order:
-160.0; -147.7; -32.7; -18.9; -14.9; -19.5